VASP calculation (PBE) on an optimized crystal structure of NaCuN.

```
NaCuN
1.0
8.770 0.000 0.000
0.000 3.552 0.000
0.000 0.000 5.875
Na Cu N
4 4 4
direct
0.162 0.250 0.067
0.338 0.750 0.567
0.662 0.250 0.433
0.838 0.750 0.933
0.048 0.250 0.617
0.452 0.750 0.117
0.548 0.250 0.883
0.952 0.750 0.383
0.072 0.750 0.699
0.428 0.250 0.199
0.572 0.750 0.801
0.928 0.250 0.301
```

Properties
total magnetization	0.08	μB per cell
distance to the lowest polymorph of the same formula	0.0	kJ/mol of atoms
crystal system	orthorhombic
symmetry	No. 62
formation enthalpy at 0 K	0.14	eV per atom

---

VASP calculation (PBE) on an optimized crystal structure of CrGa3Co2Se8.

```
CrGa3Co2Se8
1.0
12.953 -1.888 0.000
12.953 1.888 0.000
-0.533 0.000 6.572
Cr Ga Co Se
1 3 2 8
direct
0.000 0.000 0.000
0.350 0.350 0.111
0.502 0.502 0.496
0.850 0.850 0.617
0.206 0.206 0.731
0.706 0.706 0.235
0.043 0.043 0.678
0.176 0.176 0.053
0.295 0.295 0.763
0.407 0.407 0.466
0.542 0.542 0.176
0.676 0.676 0.557
0.796 0.796 0.265
0.906 0.906 0.965
```

Properties
total magnetization	3.72	μB per cell
crystal system	monoclinic
symmetry	No. 8
formation enthalpy at 0 K	-0.57	eV per atom

---

What is the formula in the second record? CrGa3Co2Se8

---

The highest total magnetization belongs to which entry? CrGa3Co2Se8

---

Which of these has the highest formation enthalpy at 0 K? NaCuN

---

Which formula does entry 1 have? NaCuN